Entry 1:
## MgTe2Mo3WSe4S2 (PBE)

Data for an optimized crystal structure of MgTe2Mo3WSe4S2. Values from VASP.

Computed properties:
DFT formation energy: -0.57 eV per atom
V: 429.4 Å³/cell
excess energy over the best structure of this formula in the dataset: 0.0 meV/atom
VASP energy: -6.3100 eV per atom

Structure (Quantum ESPRESSO input):
```
&SYSTEM
  ibrav = 0, nat = 13, ntyp = 6
/
ATOMIC_SPECIES
Te 127.60 Te.upf
Se 78.96 Se.upf
W 183.84 W.upf
Mo 95.94 Mo.upf
S 32.06 S.upf
Mg 24.30 Mg.upf
CELL_PARAMETERS angstrom
3.338 0.000 0.000
-1.669 2.891 0.000
0.000 0.004 44.505
ATOMIC_POSITIONS crystal
Te 0.333 0.667 0.615
Se 0.667 0.333 0.050
W 0.333 0.667 0.470
Se 0.333 0.667 0.250
Mo 0.667 0.334 0.288
Se 0.666 0.333 0.125
Mo 0.333 0.666 0.087
S 0.667 0.333 0.504
Mo 0.667 0.333 0.658
Te 0.333 0.667 0.700
Mg 0.000 0.000 0.188
Se 0.333 0.667 0.326
S 0.667 0.333 0.435
```

***

Entry 2:
## MgTe4Mo3WSe2S2 (PBE)

Data for an optimized crystal structure of MgTe4Mo3WSe2S2. Values from VASP.

Computed properties:
DFT formation energy: -0.41 eV per atom
V: 383.7 Å³/cell
excess energy over the best structure of this formula in the dataset: 59.5 meV/atom
VASP energy: -6.0922 eV per atom

Structure (Quantum ESPRESSO input):
```
&SYSTEM
  ibrav = 0, nat = 13, ntyp = 6
/
ATOMIC_SPECIES
Te 127.60 Te.upf
Se 78.96 Se.upf
Mg 24.30 Mg.upf
Mo 95.94 Mo.upf
S 32.06 S.upf
W 183.84 W.upf
CELL_PARAMETERS angstrom
-1.305 2.122 -2.301
0.616 -3.230 -0.829
-35.546 -9.666 11.246
ATOMIC_POSITIONS crystal
Te 0.333 0.667 0.609
Se 0.667 0.333 0.512
Mg 0.354 0.658 0.874
Mo 0.333 0.667 0.470
Mo 0.667 0.333 0.282
Te 0.667 0.333 0.045
S 0.333 0.667 0.243
W 0.667 0.333 0.658
Te 0.667 0.333 0.143
S 0.333 0.667 0.321
Te 0.333 0.667 0.707
Mo 0.333 0.667 0.094
Se 0.667 0.333 0.427
```

***

Entry 3:
## MgTe4MoW3Se2S2 (PBE)

Data for an optimized crystal structure of MgTe4MoW3Se2S2. Values from VASP.

Computed properties:
DFT formation energy: -0.36 eV per atom
V: 457.9 Å³/cell
excess energy over the best structure of this formula in the dataset: 30.8 meV/atom
VASP energy: -6.3685 eV per atom

Structure (Quantum ESPRESSO input):
```
&SYSTEM
  ibrav = 0, nat = 13, ntyp = 6
/
ATOMIC_SPECIES
Se 78.96 Se.upf
W 183.84 W.upf
S 32.06 S.upf
Te 127.60 Te.upf
Mo 95.94 Mo.upf
Mg 24.30 Mg.upf
CELL_PARAMETERS angstrom
-0.368 1.329 3.107
2.705 -1.933 -0.713
23.111 37.214 -13.178
ATOMIC_POSITIONS crystal
Se 0.667 0.333 0.506
W 0.667 0.334 0.658
S 0.333 0.667 0.321
Te 0.667 0.333 0.128
Te 0.334 0.667 0.699
W 0.333 0.667 0.470
S 0.333 0.667 0.255
Mo 0.667 0.333 0.289
Se 0.667 0.333 0.433
Te 0.333 0.667 0.616
W 0.333 0.667 0.087
Mg 0.000 0.000 0.200
Te 0.667 0.333 0.046
```

***

Entry 4:
## MgTe4Mo2W2Se2S2 (PBE)

Data for an optimized crystal structure of MgTe4Mo2W2Se2S2. Values from VASP.

Computed properties:
DFT formation energy: -0.41 eV per atom
V: 465.7 Å³/cell
excess energy over the best structure of this formula in the dataset: 17.8 meV/atom
VASP energy: -6.2630 eV per atom

Structure (Quantum ESPRESSO input):
```
&SYSTEM
  ibrav = 0, nat = 13, ntyp = 6
/
ATOMIC_SPECIES
Te 127.60 Te.upf
Mo 95.94 Mo.upf
Se 78.96 Se.upf
W 183.84 W.upf
S 32.06 S.upf
Mg 24.30 Mg.upf
CELL_PARAMETERS angstrom
3.390 0.000 0.000
-1.695 2.936 0.000
0.001 0.003 46.794
ATOMIC_POSITIONS crystal
Te 0.333 0.667 0.235
Mo 0.667 0.333 0.275
Se 0.667 0.333 0.129
W 0.333 0.667 0.479
W 0.667 0.333 0.657
Se 0.667 0.333 0.058
S 0.667 0.333 0.447
Mg 0.000 0.000 0.379
Mo 0.333 0.667 0.094
Te 0.333 0.666 0.698
S 0.667 0.333 0.511
Te 0.333 0.667 0.617
Te 0.333 0.667 0.316
```

***

Entry 5:
## MgTe4Mo2W2Se2S2 (PBE)

Data for an optimized crystal structure of MgTe4Mo2W2Se2S2. Values from VASP.

Computed properties:
DFT formation energy: -0.40 eV per atom
V: 450.6 Å³/cell
excess energy over the best structure of this formula in the dataset: 26.6 meV/atom
VASP energy: -6.2541 eV per atom

Structure (Quantum ESPRESSO input):
```
&SYSTEM
  ibrav = 0, nat = 13, ntyp = 6
/
ATOMIC_SPECIES
Mg 24.30 Mg.upf
S 32.06 S.upf
Te 127.60 Te.upf
Mo 95.94 Mo.upf
Se 78.96 Se.upf
W 183.84 W.upf
CELL_PARAMETERS angstrom
3.401 0.000 0.001
-1.700 2.945 -0.002
0.016 -0.021 44.996
ATOMIC_POSITIONS crystal
Mg 0.997 0.000 0.386
S 0.668 0.332 0.443
Te 0.334 0.667 0.234
Te 0.333 0.667 0.699
Mo 0.334 0.666 0.477
Se 0.666 0.333 0.057
Mo 0.667 0.334 0.275
Se 0.666 0.334 0.131
W 0.667 0.333 0.657
W 0.333 0.667 0.094
S 0.667 0.333 0.510
Te 0.334 0.668 0.317
Te 0.334 0.666 0.616
```

***

Entry 6:
## MgTe4MoW3Se2S2 (PBE)

Data for an optimized crystal structure of MgTe4MoW3Se2S2. Values from VASP.

Computed properties:
DFT formation energy: -0.38 eV per atom
V: 465.2 Å³/cell
excess energy over the best structure of this formula in the dataset: 4.0 meV/atom
VASP energy: -6.3953 eV per atom

Structure (Quantum ESPRESSO input):
```
&SYSTEM
  ibrav = 0, nat = 13, ntyp = 6
/
ATOMIC_SPECIES
W 183.84 W.upf
S 32.06 S.upf
Mo 95.94 Mo.upf
Se 78.96 Se.upf
Mg 24.30 Mg.upf
Te 127.60 Te.upf
CELL_PARAMETERS angstrom
-2.911 -0.842 -1.519
0.545 -0.880 3.228
-19.049 40.279 14.177
ATOMIC_POSITIONS crystal
W 0.333 0.667 0.461
S 0.667 0.333 0.429
Mo 0.667 0.333 0.282
Se 0.667 0.333 0.129
Mg 0.000 0.000 0.558
W 0.333 0.667 0.094
Te 0.333 0.667 0.704
W 0.667 0.333 0.664
Se 0.667 0.333 0.058
Te 0.333 0.667 0.322
Te 0.333 0.666 0.623
Te 0.333 0.667 0.242
S 0.667 0.334 0.493
```

***

Entry 7:
## MgTe4Mo2W2Se2S2 (PBE)

Data for an optimized crystal structure of MgTe4Mo2W2Se2S2. Values from VASP.

Computed properties:
DFT formation energy: -0.40 eV per atom
V: 449.4 Å³/cell
excess energy over the best structure of this formula in the dataset: 30.7 meV/atom
VASP energy: -6.2501 eV per atom

Structure (Quantum ESPRESSO input):
```
&SYSTEM
  ibrav = 0, nat = 13, ntyp = 6
/
ATOMIC_SPECIES
W 183.84 W.upf
Mg 24.30 Mg.upf
Mo 95.94 Mo.upf
Se 78.96 Se.upf
Te 127.60 Te.upf
S 32.06 S.upf
CELL_PARAMETERS angstrom
3.399 0.000 0.000
-1.700 2.944 0.000
0.000 -0.006 44.922
ATOMIC_POSITIONS crystal
W 0.667 0.334 0.658
Mg 0.000 0.000 0.363
Mo 0.333 0.667 0.094
Se 0.666 0.333 0.439
Se 0.667 0.333 0.513
Te 0.334 0.667 0.700
W 0.333 0.666 0.476
S 0.334 0.667 0.311
Te 0.333 0.667 0.616
Mo 0.667 0.333 0.277
Te 0.666 0.333 0.052
Te 0.667 0.333 0.136
S 0.333 0.667 0.244
```

***

Entry 8:
## MgTe4Mo3WSe2S2 (PBE)

Data for an optimized crystal structure of MgTe4Mo3WSe2S2. Values from VASP.

Computed properties:
DFT formation energy: -0.46 eV per atom
V: 460.8 Å³/cell
excess energy over the best structure of this formula in the dataset: 6.7 meV/atom
VASP energy: -6.1450 eV per atom

Structure (Quantum ESPRESSO input):
```
&SYSTEM
  ibrav = 0, nat = 13, ntyp = 6
/
ATOMIC_SPECIES
Te 127.60 Te.upf
S 32.06 S.upf
Se 78.96 Se.upf
W 183.84 W.upf
Mo 95.94 Mo.upf
Mg 24.30 Mg.upf
CELL_PARAMETERS angstrom
-2.487 1.451 1.786
1.919 -2.407 1.415
29.604 32.389 14.910
ATOMIC_POSITIONS crystal
Te 0.333 0.667 0.623
Te 0.666 0.333 0.134
S 0.667 0.333 0.428
Te 0.334 0.667 0.704
Se 0.333 0.667 0.318
S 0.667 0.334 0.493
W 0.333 0.667 0.461
Mo 0.667 0.333 0.282
Mg 0.000 0.000 0.560
Te 0.666 0.333 0.053
Se 0.333 0.666 0.246
Mo 0.333 0.666 0.094
Mo 0.667 0.334 0.664
```

***

Entry 9:
## MgTe4Mo3WSe2S2 (PBE)

Data for an optimized crystal structure of MgTe4Mo3WSe2S2. Values from VASP.

Computed properties:
DFT formation energy: -0.46 eV per atom
V: 461.1 Å³/cell
excess energy over the best structure of this formula in the dataset: 6.7 meV/atom
VASP energy: -6.1450 eV per atom

Structure (Quantum ESPRESSO input):
```
&SYSTEM
  ibrav = 0, nat = 13, ntyp = 6
/
ATOMIC_SPECIES
W 183.84 W.upf
Se 78.96 Se.upf
Mo 95.94 Mo.upf
Te 127.60 Te.upf
S 32.06 S.upf
Mg 24.30 Mg.upf
CELL_PARAMETERS angstrom
3.390 0.000 0.000
-1.695 2.936 0.000
0.000 0.001 46.326
ATOMIC_POSITIONS crystal
W 0.333 0.667 0.461
Se 0.667 0.333 0.058
Mo 0.333 0.667 0.094
Te 0.333 0.667 0.241
Se 0.667 0.333 0.129
Te 0.333 0.667 0.704
Te 0.333 0.667 0.322
Mo 0.667 0.333 0.664
S 0.667 0.333 0.494
Mg 0.000 0.000 0.559
S 0.667 0.333 0.429
Te 0.333 0.667 0.623
Mo 0.667 0.333 0.282
```

***

Entry 10:
## MgTe2Mo3WSe4S2 (PBE)

Data for an optimized crystal structure of MgTe2Mo3WSe4S2. Values from VASP.

Computed properties:
DFT formation energy: -0.56 eV per atom
V: 438.7 Å³/cell
excess energy over the best structure of this formula in the dataset: 12.8 meV/atom
VASP energy: -6.2972 eV per atom

Structure (Quantum ESPRESSO input):
```
&SYSTEM
  ibrav = 0, nat = 13, ntyp = 6
/
ATOMIC_SPECIES
S 32.06 S.upf
Mo 95.94 Mo.upf
Se 78.96 Se.upf
Te 127.60 Te.upf
W 183.84 W.upf
Mg 24.30 Mg.upf
CELL_PARAMETERS angstrom
-0.361 2.555 -2.125
-2.686 -1.354 1.458
3.974 29.198 34.433
ATOMIC_POSITIONS crystal
S 0.667 0.334 0.496
Mo 0.667 0.333 0.664
Se 0.667 0.333 0.057
Te 0.333 0.667 0.622
S 0.667 0.333 0.429
W 0.667 0.333 0.282
Se 0.667 0.333 0.131
Te 0.333 0.667 0.706
Mo 0.333 0.667 0.094
Se 0.333 0.667 0.245
Mo 0.333 0.667 0.462
Mg 0.000 0.000 0.554
Se 0.333 0.667 0.319
```

***

Entry 11:
## MgTe4MoW3Se2S2 (PBE)

Data for an optimized crystal structure of MgTe4MoW3Se2S2. Values from VASP.

Computed properties:
DFT formation energy: -0.36 eV per atom
V: 384.8 Å³/cell
excess energy over the best structure of this formula in the dataset: 22.6 meV/atom
VASP energy: -6.3767 eV per atom

Structure (Quantum ESPRESSO input):
```
&SYSTEM
  ibrav = 0, nat = 13, ntyp = 6
/
ATOMIC_SPECIES
Te 127.60 Te.upf
W 183.84 W.upf
S 32.06 S.upf
Se 78.96 Se.upf
Mg 24.30 Mg.upf
Mo 95.94 Mo.upf
CELL_PARAMETERS angstrom
-0.579 -1.073 3.158
-2.288 -0.571 -2.428
17.229 -33.745 -8.301
ATOMIC_POSITIONS crystal
Te 0.333 0.667 0.330
W 0.333 0.667 0.094
Te 0.333 0.667 0.233
S 0.667 0.333 0.431
Te 0.333 0.667 0.609
S 0.667 0.333 0.509
Se 0.667 0.333 0.137
Mg 0.708 0.210 0.882
Se 0.667 0.333 0.051
Mo 0.667 0.333 0.282
W 0.333 0.667 0.470
Te 0.333 0.667 0.706
W 0.667 0.333 0.658
```

***

Entry 12:
## MgTe2MoW3Se4S2 (PBE)

Data for an optimized crystal structure of MgTe2MoW3Se4S2. Values from VASP.

Computed properties:
DFT formation energy: -0.51 eV per atom
V: 435.4 Å³/cell
excess energy over the best structure of this formula in the dataset: 0.0 meV/atom
VASP energy: -6.5805 eV per atom

Structure (Quantum ESPRESSO input):
```
&SYSTEM
  ibrav = 0, nat = 13, ntyp = 6
/
ATOMIC_SPECIES
W 183.84 W.upf
Te 127.60 Te.upf
Mg 24.30 Mg.upf
Se 78.96 Se.upf
S 32.06 S.upf
Mo 95.94 Mo.upf
CELL_PARAMETERS angstrom
-2.381 -1.983 -1.235
3.141 -1.101 0.219
-8.563 -15.759 41.464
ATOMIC_POSITIONS crystal
W 0.666 0.334 0.276
Te 0.668 0.332 0.052
Mg 0.334 0.666 0.379
Se 0.334 0.666 0.620
Se 0.334 0.666 0.239
W 0.335 0.664 0.479
Te 0.665 0.335 0.136
Se 0.332 0.668 0.314
W 0.667 0.333 0.657
S 0.668 0.332 0.512
Se 0.332 0.668 0.695
Mo 0.333 0.667 0.094
S 0.670 0.330 0.445
```